Entry 1:
MnGa | PBE-GGA | relaxed

SG   P-6m2 (187)
Density   7.69 g/cm3
Energy relative to the elements   -0.1 eV per formula unit

Lattice parameters (Å, degrees): 2.747 2.747 4.119 90.00 90.00 120.00
Element x y z (fractional)
Mn (0.000, 0.000, 0.000)
Ga (0.333, 0.667, 0.500)

Entry 2:
BaTbO3 | PBE-GGA | relaxed

SG   R-3c (167)
Density   6.54 g/cm3
Energy relative to the elements   -15.6 eV per formula unit

Lattice parameters (Å, degrees): 6.232 6.232 6.232 60.97 60.97 60.97
Element x y z (fractional)
Ba (0.250, 0.250, 0.250)
Ba (0.750, 0.750, 0.750)
Tb (0.500, 0.500, 0.500)
Tb (0.000, 0.000, 0.000)
O (0.250, 0.822, 0.678)
O (0.678, 0.250, 0.822)
O (0.822, 0.678, 0.250)
O (0.750, 0.178, 0.322)
O (0.322, 0.750, 0.178)
O (0.178, 0.322, 0.750)

Entry 3:
MgPd3 | PBE-GGA | relaxed

SG   P6_3/mmc (194)
Density   9.05 g/cm3
Energy relative to the elements   -1.9 eV per formula unit

Lattice parameters (Å, degrees): 5.652 5.652 4.558 90.00 90.00 120.00
Element x y z (fractional)
Mg (0.667, 0.333, 0.250)
Mg (0.333, 0.667, 0.750)
Pd (0.167, 0.333, 0.250)
Pd (0.167, 0.833, 0.250)
Pd (0.667, 0.833, 0.250)
Pd (0.333, 0.167, 0.750)
Pd (0.833, 0.167, 0.750)
Pd (0.833, 0.667, 0.750)

Entry 4:
TiFe4 | PBE-GGA | relaxed

SG   Fmmm (69)
Density   7.49 g/cm3
Energy relative to the elements   0.6 eV per formula unit

Lattice parameters (Å, degrees): 2.524 2.524 9.605 82.42 82.42 89.79
Element x y z (fractional)
Ti (0.000, 0.000, 0.000)
Fe (0.391, 0.391, 0.218)
Fe (0.800, 0.800, 0.400)
Fe (0.200, 0.200, 0.600)
Fe (0.609, 0.609, 0.782)

Entry 5:
MgTe4Mo3WS4 | PBE-GGA | relaxed

SG   Cm (8)
Density   4.61 g/cm3
Energy relative to the elements   -7.1 eV per formula unit
Polymorph energy (0 for the lowest one)   28.0 meV per atom

Lattice parameters (Å, degrees): 3.382 3.382 41.221 90.00 90.12 120.00
Element x y z (fractional)
Mg (0.335, 0.668, 0.381)
Te (0.335, 0.667, 0.704)
Te (0.665, 0.332, 0.048)
Te (0.668, 0.334, 0.139)
Te (0.331, 0.666, 0.612)
Mo (0.333, 0.666, 0.094)
Mo (0.330, 0.665, 0.475)
Mo (0.666, 0.333, 0.279)
W (0.666, 0.333, 0.658)
S (0.334, 0.667, 0.315)
S (0.663, 0.331, 0.438)
S (0.664, 0.332, 0.511)
S (0.331, 0.666, 0.242)

Entry 6:
Tb2Cl3 | PBE-GGA | relaxed

SG   C2/m (12)
Density   5.11 g/cm3
Energy relative to the elements   -11.0 eV per formula unit

Lattice parameters (Å, degrees): 8.091 8.091 10.359 61.66 61.66 27.81
Element x y z (fractional)
Tb (0.914, 0.914, 0.450)
Tb (0.086, 0.086, 0.550)
Tb (0.638, 0.638, 0.209)
Tb (0.362, 0.362, 0.791)
Cl (0.839, 0.839, 0.007)
Cl (0.161, 0.161, 0.993)
Cl (0.725, 0.725, 0.383)
Cl (0.275, 0.275, 0.617)
Cl (0.456, 0.456, 0.238)
Cl (0.544, 0.544, 0.762)

Entry 7:
BaCaNdBiO6 | PBE-GGA | relaxed

SG   F-43m (216)
Density   6.10 g/cm3
Energy relative to the elements   -26.1 eV per formula unit
Polymorph energy (0 for the lowest one)   132.1 meV per atom

Lattice parameters (Å, degrees): 6.225 6.225 6.225 60.00 60.00 60.00
Element x y z (fractional)
Ba (0.750, 0.750, 0.750)
Ca (0.250, 0.250, 0.250)
Nd (0.500, 0.500, 0.500)
Bi (0.000, 0.000, 0.000)
O (0.760, 0.240, 0.240)
O (0.240, 0.760, 0.760)
O (0.760, 0.240, 0.760)
O (0.240, 0.760, 0.240)
O (0.760, 0.760, 0.240)
O (0.240, 0.240, 0.760)

Entry 8:
Rb2AlTlI6 | PBE-GGA | relaxed

SG   Fm-3m (225)
Density   4.21 g/cm3
Energy relative to the elements   -11.7 eV per formula unit

Lattice parameters (Å, degrees): 8.661 8.661 8.661 60.00 60.00 60.00
Element x y z (fractional)
Rb (0.750, 0.750, 0.750)
Rb (0.250, 0.250, 0.250)
Al (0.000, 0.000, 0.000)
Tl (0.500, 0.500, 0.500)
I (0.773, 0.227, 0.227)
I (0.227, 0.227, 0.773)
I (0.227, 0.773, 0.773)
I (0.227, 0.773, 0.227)
I (0.773, 0.227, 0.773)
I (0.773, 0.773, 0.227)

Entry 9:
Na2InAsF6 | PBE-GGA | relaxed

SG   Fm-3m (225)
Density   3.03 g/cm3
Energy relative to the elements   -23.2 eV per formula unit

Lattice parameters (Å, degrees): 6.474 6.474 6.474 60.00 60.00 60.00
Element x y z (fractional)
Na (0.250, 0.250, 0.250)
Na (0.750, 0.750, 0.750)
In (0.500, 0.500, 0.500)
As (0.000, 0.000, 0.000)
F (0.226, 0.226, 0.774)
F (0.226, 0.774, 0.774)
F (0.774, 0.774, 0.226)
F (0.226, 0.774, 0.226)
F (0.774, 0.226, 0.774)
F (0.774, 0.226, 0.226)

Entry 10:
Ce2Fe20Si2C | PBE-GGA | relaxed

SG   P-1 (2)
Density   7.60 g/cm3
Energy relative to the elements   -2.6 eV per formula unit

Lattice parameters (Å, degrees): 6.368 7.762 7.776 81.50 113.97 114.20
Element x y z (fractional)
Ce (0.876, 0.746, 0.249)
Ce (0.124, 0.254, 0.751)
Fe (0.630, 0.251, 0.753)
Fe (0.370, 0.749, 0.247)
Fe (0.637, 0.576, 0.834)
Fe (0.640, 0.330, 0.078)
Fe (0.304, 0.080, 0.164)
Fe (0.302, 0.665, 0.579)
Fe (0.240, 0.176, 0.416)
Fe (0.243, 0.920, 0.677)
Fe (0.064, 0.825, 0.924)
Fe (0.066, 0.425, 0.322)
Fe (0.363, 0.424, 0.166)
Fe (0.360, 0.670, 0.922)
Fe (0.696, 0.920, 0.836)
Fe (0.698, 0.335, 0.421)
Fe (0.760, 0.824, 0.584)
Fe (0.757, 0.080, 0.323)
Fe (0.936, 0.175, 0.076)
Fe (0.934, 0.575, 0.678)
Fe (0.500, 0.000, 0.500)
Fe (0.500, 0.500, 0.500)
Si (0.500, 0.000, 0.000)
Si (0.000, 0.500, 0.000)
C (0.000, 0.000, 0.500)

Entry 11:
Zn3As2O8 | PBE-GGA | relaxed

SG   P2_1/c (14)
Density   4.31 g/cm3
Energy relative to the elements   -23.1 eV per formula unit
Polymorph energy (0 for the lowest one)   0.0 meV per atom

Lattice parameters (Å, degrees): 8.667 5.340 9.037 60.83 90.00 90.00
Element x y z (fractional)
Zn (0.140, 0.479, 0.110)
Zn (0.640, 0.521, 0.390)
Zn (0.860, 0.521, 0.890)
Zn (0.360, 0.479, 0.610)
Zn (0.000, 0.500, 0.500)
Zn (0.500, 0.500, 0.000)
As (0.309, 0.848, 0.194)
As (0.809, 0.152, 0.306)
As (0.691, 0.152, 0.806)
As (0.191, 0.848, 0.694)
O (0.066, 0.706, 0.864)
O (0.566, 0.294, 0.636)
O (0.934, 0.294, 0.136)
O (0.434, 0.706, 0.364)
O (0.196, 0.212, 0.618)
O (0.696, 0.788, 0.882)
O (0.804, 0.788, 0.382)
O (0.304, 0.212, 0.118)
O (0.137, 0.776, 0.535)
O (0.637, 0.224, 0.965)
O (0.132, 0.673, 0.253)
O (0.632, 0.327, 0.247)
O (0.868, 0.327, 0.747)
O (0.368, 0.673, 0.753)
O (0.363, 0.776, 0.035)
O (0.863, 0.224, 0.465)

Entry 12:
K2RbInCl6 | PBE-GGA | relaxed

SG   Fm-3m (225)
Density   2.30 g/cm3
Energy relative to the elements   -19.3 eV per formula unit

Lattice parameters (Å, degrees): 7.940 7.940 7.940 60.00 60.00 60.00
Element x y z (fractional)
K (0.750, 0.750, 0.750)
K (0.250, 0.250, 0.250)
Rb (0.500, 0.500, 0.500)
In (0.000, 0.000, 0.000)
Cl (0.774, 0.226, 0.226)
Cl (0.226, 0.226, 0.774)
Cl (0.226, 0.774, 0.774)
Cl (0.226, 0.774, 0.226)
Cl (0.774, 0.226, 0.774)
Cl (0.774, 0.774, 0.226)

Entry 13:
PrGaO3 | PBE-GGA | relaxed

SG   Pnma (62)
Density   7.09 g/cm3
Energy relative to the elements   -15.2 eV per formula unit

Lattice parameters (Å, degrees): 5.509 5.610 7.837 90.00 90.00 90.00
Element x y z (fractional)
Pr (0.012, 0.954, 0.750)
Pr (0.512, 0.546, 0.250)
Pr (0.488, 0.454, 0.750)
Pr (0.988, 0.046, 0.250)
Ga (0.500, 0.000, 0.500)
Ga (0.000, 0.500, 0.500)
Ga (0.000, 0.500, 0.000)
Ga (0.500, 0.000, 0.000)
O (0.712, 0.289, 0.456)
O (0.212, 0.211, 0.544)
O (0.788, 0.789, 0.044)
O (0.288, 0.711, 0.956)
O (0.288, 0.711, 0.544)
O (0.788, 0.789, 0.456)
O (0.212, 0.211, 0.956)
O (0.712, 0.289, 0.044)
O (0.082, 0.480, 0.250)
O (0.582, 0.020, 0.750)
O (0.418, 0.980, 0.250)
O (0.918, 0.520, 0.750)

Entry 14:
USnPt | PBE-GGA | relaxed

SG   F-43m (216)
Density   12.61 g/cm3
Energy relative to the elements   -1.5 eV per formula unit

Lattice parameters (Å, degrees): 4.684 4.684 4.684 60.00 60.00 60.00
Element x y z (fractional)
U (0.000, 0.000, 0.000)
Sn (0.500, 0.500, 0.500)
Pt (0.750, 0.750, 0.750)

Entry 15:
LiIn4Ge4O14 | PBE-GGA | relaxed

SG   R3m (160)
Density   6.43 g/cm3
Energy relative to the elements   -44.9 eV per formula unit
Polymorph energy (0 for the lowest one)   0.0 meV per atom

Lattice parameters (Å, degrees): 7.124 7.124 7.124 59.57 59.57 59.57
Element x y z (fractional)
Li (0.747, 0.747, 0.747)
In (0.482, 0.482, 0.005)
In (0.482, 0.005, 0.482)
In (0.005, 0.482, 0.482)
In (0.499, 0.499, 0.499)
Ge (0.002, 0.002, 0.498)
Ge (0.002, 0.498, 0.002)
Ge (0.498, 0.002, 0.002)
Ge (0.004, 0.004, 0.004)
O (0.375, 0.375, 0.375)
O (0.629, 0.629, 0.629)
O (0.331, 0.923, 0.923)
O (0.922, 0.329, 0.329)
O (0.923, 0.331, 0.923)
O (0.329, 0.922, 0.329)
O (0.923, 0.923, 0.331)
O (0.329, 0.329, 0.922)
O (0.671, 0.080, 0.080)
O (0.073, 0.677, 0.677)
O (0.080, 0.671, 0.080)
O (0.677, 0.073, 0.677)
O (0.080, 0.080, 0.671)
O (0.677, 0.677, 0.073)

Entry 16:
MoC | PBE-GGA | relaxed

SG   P6_3/mmc (194)
Density   8.46 g/cm3
Energy relative to the elements   0.3 eV per formula unit
Polymorph energy (0 for the lowest one)   213.2 meV per atom

Lattice parameters (Å, degrees): 2.993 2.993 10.930 90.00 90.00 120.00
Element x y z (fractional)
Mo (0.333, 0.667, 0.379)
Mo (0.667, 0.333, 0.621)
Mo (0.667, 0.333, 0.879)
Mo (0.333, 0.667, 0.121)
C (0.000, 0.000, 0.500)
C (0.000, 0.000, 0.000)
C (0.333, 0.667, 0.750)
C (0.667, 0.333, 0.250)

Entry 17:
TbCu3Se3 | PBE-GGA | relaxed

SG   R-3 (148)
Density   6.96 g/cm3
Energy relative to the elements   -6.6 eV per formula unit

Lattice parameters (Å, degrees): 7.737 7.737 7.737 53.76 53.76 53.76
Element x y z (fractional)
Tb (0.834, 0.834, 0.834)
Tb (0.166, 0.166, 0.166)
Cu (0.721, 0.375, 0.032)
Cu (0.032, 0.721, 0.375)
Cu (0.375, 0.032, 0.721)
Cu (0.625, 0.968, 0.279)
Cu (0.968, 0.279, 0.625)
Cu (0.279, 0.625, 0.968)
Se (0.256, 0.911, 0.582)
Se (0.911, 0.582, 0.256)
Se (0.582, 0.256, 0.911)
Se (0.418, 0.744, 0.089)
Se (0.089, 0.418, 0.744)
Se (0.744, 0.089, 0.418)

Entry 18:
SiO2 | PBE-GGA | relaxed

SG   Cmcm (63)
Density   1.81 g/cm3
Energy relative to the elements   -9.7 eV per formula unit

Lattice parameters (Å, degrees): 9.334 9.334 8.629 90.00 90.00 118.54
Element x y z (fractional)
Si (0.488, 0.832, 0.437)
Si (0.168, 0.512, 0.563)
Si (0.832, 0.488, 0.063)
Si (0.512, 0.168, 0.937)
Si (0.512, 0.168, 0.563)
Si (0.832, 0.488, 0.437)
Si (0.168, 0.512, 0.937)
Si (0.488, 0.832, 0.063)
Si (0.340, 0.340, 0.437)
Si (0.660, 0.660, 0.563)
Si (0.340, 0.340, 0.063)
Si (0.660, 0.660, 0.937)
O (0.647, 0.818, 0.499)
O (0.182, 0.353, 0.501)
O (0.818, 0.647, 0.001)
O (0.353, 0.182, 0.999)
O (0.353, 0.182, 0.501)
O (0.818, 0.647, 0.499)
O (0.182, 0.353, 0.999)
O (0.647, 0.818, 0.001)
O (0.319, 0.681, 0.500)
O (0.681, 0.319, 0.000)
O (0.681, 0.319, 0.500)
O (0.319, 0.681, 0.000)
O (0.488, 0.832, 0.250)
O (0.168, 0.512, 0.750)
O (0.832, 0.488, 0.250)
O (0.512, 0.168, 0.750)
O (0.500, 0.000, 0.500)
O (0.000, 0.500, 0.500)
O (0.000, 0.500, 0.000)
O (0.500, 0.000, 0.000)
O (0.335, 0.335, 0.250)
O (0.665, 0.665, 0.750)
O (0.500, 0.500, 0.500)
O (0.500, 0.500, 0.000)

Entry 19:
Li3VS4 | PBE-GGA | relaxed

SG   P-43m (215)
Density   1.57 g/cm3
Energy relative to the elements   -10.9 eV per formula unit
Polymorph energy (0 for the lowest one)   0.0 meV per atom
Piezoelectric modulus e_max   0.071 C/m2

Lattice parameters (Å, degrees): 5.955 5.955 5.955 90.00 90.00 90.00
Element x y z (fractional)
Li (0.000, 0.000, 0.500)
Li (0.000, 0.500, 0.000)
Li (0.500, 0.000, 0.000)
V (0.000, 0.000, 0.000)
S (0.210, 0.210, 0.210)
S (0.210, 0.790, 0.790)
S (0.790, 0.210, 0.790)
S (0.790, 0.790, 0.210)